! GGA+U SrCa3V4O12, optimized geometry; values from VASP
! total magnetic moment	0.0	μB/cell
! energy of formation	-2.924	eV per atom
! energy with MP2020 corrections	-8.10	eV/atom
! VASP energy	-7.34	eV/atom
&SYSTEM
  ibrav = 0, nat = 20, ntyp = 4
/
ATOMIC_SPECIES
Sr 87.62 Sr.upf
Ca 40.08 Ca.upf
V 50.94 V.upf
O 16.00 O.upf
CELL_PARAMETERS angstrom
5.390 0.000 0.000
0.000 7.847 0.000
-0.006 0.000 5.419
ATOMIC_POSITIONS crystal
Sr 0.000 0.000 0.000
Ca 0.453 0.500 0.494
Ca 0.510 0.000 0.498
Ca 0.950 0.500 0.995
V 0.480 0.253 0.996
V 0.480 0.747 0.996
V 0.981 0.253 0.495
V 0.981 0.747 0.495
O 0.007 0.500 0.432
O 0.200 0.280 0.796
O 0.200 0.720 0.796
O 0.265 0.216 0.299
O 0.265 0.784 0.299
O 0.482 0.500 0.061
O 0.485 0.000 0.932
O 0.703 0.287 0.701
O 0.703 0.713 0.701
O 0.759 0.234 0.203
O 0.759 0.766 0.203
O 0.953 0.000 0.540